(1)
Entry from the Materials Project: an optimized crystal structure of Li2V3TeO8 (PBE+U).

Lattice parameters (Å, degrees): 6.036 6.235 8.695 87.53 90.00 90.01
Sites, in units of the cell vectors:
Li (0.000, 0.256, 0.129)
Li (0.500, 0.756, 0.629)
Li (0.000, 0.742, 0.871)
Li (0.500, 0.242, 0.371)
V (0.500, 0.002, 0.000)
V (0.748, 0.252, 0.752)
V (0.252, 0.252, 0.752)
V (0.000, 0.502, 0.500)
V (0.248, 0.752, 0.252)
V (0.752, 0.752, 0.252)
Te (0.000, 0.004, 0.503)
Te (0.500, 0.504, 0.003)
O (0.000, 0.532, 0.267)
O (0.500, 0.032, 0.767)
O (0.000, 0.469, 0.735)
O (0.500, 0.968, 0.235)
O (0.231, 0.746, 0.488)
O (0.731, 0.246, 0.988)
O (0.769, 0.746, 0.488)
O (0.269, 0.246, 0.988)
O (0.000, 0.974, 0.256)
O (0.500, 0.474, 0.756)
O (0.000, 0.020, 0.739)
O (0.500, 0.519, 0.239)
O (0.228, 0.253, 0.510)
O (0.728, 0.753, 0.010)
O (0.772, 0.253, 0.510)
O (0.272, 0.753, 0.010)

Results
DFT total energy = -0.2491 Ha/atom
energy of formation = -2.26 eV per atom
size of the total moment = 10.000 μB/cell
V = 11.68 Å³ per atom

***

(2)
Entry from the Materials Project: an optimized crystal structure of Li2MnSi2O6 (PBE+U).

Lattice parameters (Å, degrees): 5.763 5.763 9.410 90.51 90.51 118.48
Sites, in units of the cell vectors:
Li (0.085, 0.789, 0.617)
Li (0.211, 0.915, 0.883)
Li (0.789, 0.085, 0.117)
Li (0.915, 0.211, 0.383)
Mn (0.246, 0.754, 0.250)
Mn (0.754, 0.246, 0.750)
Si (0.304, 0.365, 0.633)
Si (0.365, 0.304, 0.133)
Si (0.635, 0.696, 0.867)
Si (0.696, 0.635, 0.367)
O (0.002, 0.738, 0.414)
O (0.133, 0.355, 0.203)
O (0.262, 0.998, 0.086)
O (0.355, 0.133, 0.703)
O (0.387, 0.613, 0.750)
O (0.500, 0.500, 0.000)
O (0.500, 0.500, 0.500)
O (0.613, 0.387, 0.250)
O (0.645, 0.867, 0.297)
O (0.738, 0.002, 0.914)
O (0.867, 0.645, 0.797)
O (0.998, 0.262, 0.586)

Results
DFT total energy = -0.2625 Ha/atom
symmetry = C2/c (15)
energy of formation = -2.81 eV per atom
crystal system = monoclinic
size of the total moment = 9.999 μB/cell
V = 12.48 Å³ per atom

***

(3)
Entry from the Materials Project: an optimized crystal structure of BaPrMgCo2O6 (PBE+U).

Lattice parameters (Å, degrees): 3.608 4.121 10.901 90.00 90.00 90.00
Sites, in units of the cell vectors:
Ba (0.000, 0.000, 0.000)
Pr (0.000, 0.000, 0.620)
Mg (0.000, 0.500, 0.246)
Co (0.500, 0.500, 0.454)
Co (0.500, 0.500, 0.812)
O (0.000, 0.500, 0.423)
O (0.000, 0.500, 0.876)
O (0.500, 0.000, 0.475)
O (0.500, 0.000, 0.809)
O (0.500, 0.500, 0.166)
O (0.500, 0.500, 0.640)

Results
DFT total energy = -0.2278 Ha/atom
symmetry = Pmm2 (25)
energy of formation = -2.12 eV per atom
crystal system = orthorhombic
size of the total moment = 5.000 μB/cell
V = 14.74 Å³ per atom